1.
## NaYHfSiS2O12 (PBE)

Data for crystalline NaYHfSiS2O12 at its relaxed geometry.

Its crystal system is monoclinic.

a b c (Å): 9.0924 9.0924 23.6452
angles (deg): 90.21 90.21 59.74
With the nearest neighbours (Å) after each atom.
Positions (direct):
Na  0.0081  0.9919  0.5000  3 O 2.42-2.71
Na  0.2805  0.3464  0.1664  2 O 2.38-2.51
Na  0.3464  0.2805  0.6664  2 O 2.38-2.51
Na  0.6290  0.6823  0.8343  3 O 2.43-2.69
Na  0.6823  0.6290  0.3343  3 O 2.43-2.69
Na  0.9919  0.0081  0.0000  3 O 2.42-2.71
Y  0.2959  0.3243  0.3122  3 O 2.04-2.24
Y  0.3243  0.2959  0.8122  3 O 2.04-2.24
Y  0.6456  0.6482  0.4793  6 O 2.09-2.31
Y  0.6482  0.6456  0.9793  6 O 2.09-2.31
Y  0.9790  0.9849  0.6458  6 O 2.08-2.29
Y  0.9849  0.9790  0.1458  6 O 2.08-2.29
Hf  0.3013  0.3047  0.0178  2 O 1.92-1.95
Hf  0.3047  0.3013  0.5178  2 O 1.92-1.95
Hf  0.6385  0.6693  0.6849  2 O 1.92-1.95
Hf  0.6693  0.6385  0.1849  2 O 1.92-1.95
Hf  0.9787  0.9811  0.8511  6 O 1.98-2.18
Hf  0.9811  0.9787  0.3511  6 O 1.98-2.18
Si  0.0163  0.3068  0.4145  4 O 1.60-1.70
Si  0.3068  0.0163  0.9145  4 O 1.60-1.70
Si  0.3518  0.9465  0.5806  4 O 1.59-1.69
Si  0.6914  0.9766  0.7478  4 O 1.60-1.69
Si  0.9465  0.3518  0.0806  4 O 1.59-1.69
Si  0.9766  0.6914  0.2478  4 O 1.60-1.69
S  0.0288  0.6108  0.9151  4 O 1.45-1.51
S  0.2784  0.6922  0.7496  4 O 1.46-1.51
S  0.2810  0.9688  0.2499  4 O 1.47-1.50
S  0.3058  0.6103  0.4159  4 O 1.46-1.51
S  0.3621  0.6361  0.0829  4 O 1.47-1.49
S  0.6103  0.3058  0.9159  4 O 1.46-1.51
S  0.6108  0.0288  0.4151  4 O 1.45-1.51
S  0.6361  0.3621  0.5829  4 O 1.47-1.49
S  0.6380  0.9458  0.0830  4 O 1.46-1.50
S  0.6922  0.2784  0.2496  4 O 1.46-1.51
S  0.9458  0.6380  0.5830  4 O 1.46-1.50
S  0.9688  0.2810  0.7499  4 O 1.47-1.50
O  0.0018  0.1762  0.6989  1 S 1.47
O  0.0078  0.1294  0.4085  1 Si 1.66
O  0.0146  0.7828  0.9108  1 S 1.51
O  0.1070  0.5131  0.8642  1 S 1.45
O  0.1079  0.3286  0.3603  1 Si 1.60
O  0.1102  0.3144  0.7563  1 S 1.47
O  0.1190  0.4818  0.5776  1 S 1.50
O  0.1294  0.0078  0.9085  1 Si 1.66
O  0.1340  0.3451  0.0762  1 Si 1.68
O  0.1359  0.5252  0.9666  1 S 1.51
O  0.1389  0.2870  0.4714  1 Si 1.70
O  0.1401  0.5004  0.2497  1 Si 1.62
O  0.1453  0.7814  0.4100  1 S 1.51
O  0.1618  0.9773  0.5854  1 Si 1.61
O  0.1762  0.0018  0.1989  1 S 1.47
O  0.1806  0.7712  0.6981  1 S 1.46
O  0.1877  0.7836  0.0873  1 S 1.48
O  0.1896  0.9551  0.3007  1 S 1.50
O  0.1943  0.8029  0.8005  1 S 1.51
O  0.2870  0.1389  0.9714  1 Si 1.70
O  0.2874  0.5261  0.4671  1 S 1.49
O  0.2966  0.5245  0.7567  1 S 1.46
O  0.3144  0.1102  0.2563  1 S 1.47
O  0.3286  0.1079  0.8603  1 Si 1.60
O  0.3324  0.5090  0.3649  1 S 1.46
O  0.3451  0.1340  0.5762  1 Si 1.68
O  0.3544  0.4765  0.0769  1 S 1.49
O  0.4375  0.6628  0.0318  1 S 1.47
O  0.4427  0.8384  0.5253  1 Si 1.59
O  0.4454  0.8062  0.2440  1 S 1.49
O  0.4506  0.6394  0.4209  1 S 1.47
O  0.4521  0.6739  0.7444  1 S 1.51
O  0.4643  0.6225  0.1342  1 S 1.49
O  0.4708  0.8273  0.9190  1 Si 1.61
O  0.4732  0.8473  0.6376  1 Si 1.69
O  0.4765  0.3544  0.5769  1 S 1.49
O  0.4818  0.1190  0.0775  1 S 1.50
O  0.5004  0.1401  0.7497  1 Si 1.62
O  0.5090  0.3324  0.8649  1 S 1.46
O  0.5131  0.1070  0.3642  1 S 1.45
O  0.5252  0.1359  0.4666  1 S 1.51
O  0.5245  0.2966  0.2567  1 S 1.46
O  0.5261  0.2874  0.9671  1 S 1.49
O  0.6141  0.8617  0.1338  1 S 1.50
O  0.6225  0.4643  0.6342  1 S 1.49
O  0.6354  0.8566  0.4212  1 S 1.47
O  0.6394  0.4506  0.9209  1 S 1.47
O  0.6588  0.8465  0.0318  1 S 1.46
O  0.6628  0.4375  0.5318  1 S 1.47
O  0.6739  0.4521  0.2444  1 S 1.51
O  0.6783  0.7985  0.7431  1 Si 1.69
O  0.7712  0.1806  0.1981  1 S 1.46
O  0.7814  0.1453  0.9100  1 S 1.51
O  0.7823  0.9904  0.6921  1 Si 1.60
O  0.7828  0.0146  0.4108  1 S 1.51
O  0.7836  0.1877  0.5873  1 S 1.48
O  0.7863  0.9679  0.0889  1 S 1.47
O  0.7985  0.6783  0.2431  1 Si 1.69
O  0.8029  0.1943  0.3005  1 S 1.51
O  0.8062  0.4454  0.7440  1 S 1.49
O  0.8100  0.9578  0.8046  1 Si 1.67
O  0.8273  0.4708  0.4190  1 Si 1.61
O  0.8384  0.4427  0.0253  1 Si 1.59
O  0.8465  0.6588  0.5318  1 S 1.46
O  0.8473  0.4732  0.1376  1 Si 1.69
O  0.8566  0.6354  0.9212  1 S 1.47
O  0.8617  0.6141  0.6338  1 S 1.50
O  0.9551  0.1896  0.8007  1 S 1.50
O  0.9578  0.8100  0.3046  1 Si 1.67
O  0.9679  0.7863  0.5889  1 S 1.47
O  0.9773  0.1618  0.0854  1 Si 1.61
O  0.9904  0.7823  0.1921  1 Si 1.60


2.
## Na3YHfSi2SO12 (PBE)

Data for crystalline Na3YHfSi2SO12 at its relaxed geometry.

a b c (Å): 9.3141 9.3141 23.1321
angles (deg): 89.28 90.72 119.93
With the nearest neighbours (Å) after each atom.
Positions (direct):
Na  0.6296  0.9980  0.2428  3 O 2.33-2.47
Na  0.9949  0.6444  0.2455  5 O 2.43-2.71
Na  0.0020  0.3704  0.7428  3 O 2.33-2.47
Na  0.3556  0.0051  0.7455  5 O 2.43-2.71
Na  0.2963  0.3313  0.5762  3 O 2.33-2.47
Na  0.6616  0.9777  0.5788  5 O 2.43-2.71
Na  0.6687  0.7037  0.0762  3 O 2.33-2.47
Na  0.0223  0.3384  0.0788  5 O 2.43-2.71
Na  0.9630  0.6646  0.9095  3 O 2.33-2.47
Na  0.3282  0.3110  0.9122  5 O 2.43-2.71
Na  0.3354  0.0370  0.4095  3 O 2.33-2.47
Na  0.6890  0.6718  0.4122  5 O 2.43-2.71
Na  0.0040  0.0286  0.4965  4 O 2.48-2.72
Na  0.9714  0.9960  0.9965  4 O 2.48-2.72
Na  0.6707  0.3620  0.8298  4 O 2.48-2.72
Na  0.6380  0.3293  0.3298  4 O 2.48-2.72
Na  0.3374  0.6953  0.1632  4 O 2.48-2.72
Na  0.3047  0.6626  0.6632  4 O 2.48-2.72
Y  0.0064  0.0115  0.3509  6 O 2.16-2.35
Y  0.9885  0.9936  0.8509  6 O 2.16-2.35
Y  0.6731  0.3448  0.6842  6 O 2.16-2.35
Y  0.6552  0.3269  0.1842  6 O 2.16-2.35
Y  0.3397  0.6782  0.0175  6 O 2.16-2.35
Y  0.3218  0.6603  0.5175  6 O 2.16-2.35
Hf  0.0217  0.0065  0.6478  4 O 1.98-2.12
Hf  0.9935  0.9783  0.1478  4 O 1.98-2.12
Hf  0.6884  0.3398  0.9811  4 O 1.98-2.12
Hf  0.6602  0.3116  0.4811  4 O 1.98-2.12
Hf  0.3550  0.6731  0.3145  4 O 1.98-2.12
Hf  0.3269  0.6450  0.8145  4 O 1.98-2.12
Si  0.2944  0.9925  0.2535  4 O 1.61-1.69
Si  0.7046  0.7035  0.2521  4 O 1.61-1.69
Si  0.2965  0.2954  0.7521  4 O 1.61-1.69
Si  0.0075  0.7056  0.7535  4 O 1.61-1.69
Si  0.9611  0.3259  0.5869  4 O 1.61-1.69
Si  0.3712  0.0368  0.5854  4 O 1.61-1.69
Si  0.9632  0.6288  0.0854  4 O 1.61-1.69
Si  0.6741  0.0389  0.0869  4 O 1.61-1.69
Si  0.6278  0.6592  0.9202  4 O 1.61-1.69
Si  0.0379  0.3702  0.9188  4 O 1.61-1.69
Si  0.6298  0.9621  0.4188  4 O 1.61-1.69
Si  0.3408  0.3722  0.4202  4 O 1.61-1.69
S  0.0083  0.3017  0.2474  4 O 1.46-1.49
S  0.6983  0.9917  0.7474  4 O 1.46-1.49
S  0.6750  0.6351  0.5807  4 O 1.46-1.49
S  0.3649  0.3250  0.0807  4 O 1.46-1.49
S  0.3417  0.9684  0.9141  4 O 1.46-1.49
S  0.0316  0.6583  0.4141  4 O 1.46-1.49
O  0.2182  0.0149  0.3127  1 Si 1.61
O  0.8120  0.7897  0.3094  1 Si 1.61
O  0.9823  0.1981  0.2987  1 S 1.46
O  0.2103  0.1880  0.8094  1 Si 1.61
O  0.9851  0.7818  0.8127  1 Si 1.61
O  0.8019  0.0177  0.7987  1 S 1.46
O  0.7771  0.9709  0.6951  1 S 1.49
O  0.1729  0.2025  0.6945  1 Si 1.69
O  0.0253  0.8317  0.6982  1 Si 1.68
O  0.7975  0.8271  0.1945  1 Si 1.69
O  0.0291  0.2229  0.1951  1 S 1.49
O  0.1683  0.9747  0.1982  1 Si 1.68
O  0.8849  0.3483  0.6460  1 Si 1.61
O  0.4787  0.1231  0.6427  1 Si 1.61
O  0.6490  0.5314  0.6321  1 S 1.46
O  0.8769  0.5213  0.1427  1 Si 1.61
O  0.6517  0.1151  0.1460  1 Si 1.61
O  0.4686  0.3510  0.1321  1 S 1.46
O  0.4438  0.3042  0.0284  1 S 1.49
O  0.8395  0.5358  0.0278  1 Si 1.69
O  0.6920  0.1651  0.0315  1 Si 1.68
O  0.4642  0.1605  0.5278  1 Si 1.69
O  0.6958  0.5562  0.5284  1 S 1.49
O  0.8349  0.3080  0.5315  1 Si 1.68
O  0.5515  0.6816  0.9793  1 Si 1.61
O  0.1453  0.4564  0.9761  1 Si 1.61
O  0.3157  0.8648  0.9654  1 S 1.46
O  0.5436  0.8547  0.4761  1 Si 1.61
O  0.3184  0.4485  0.4793  1 Si 1.61
O  0.1352  0.6843  0.4654  1 S 1.46
O  0.1104  0.6375  0.3618  1 S 1.49
O  0.5062  0.8692  0.3612  1 Si 1.69
O  0.3587  0.4984  0.3649  1 Si 1.68
O  0.1308  0.4938  0.8612  1 Si 1.69
O  0.3625  0.8896  0.8618  1 S 1.49
O  0.5016  0.6413  0.8649  1 Si 1.68
O  0.0125  0.8074  0.4102  1 S 1.49
O  0.8090  0.9750  0.4133  1 Si 1.62
O  0.1915  0.1809  0.4151  1 Si 1.63
O  0.0250  0.1910  0.9133  1 Si 1.62
O  0.1926  0.9875  0.9102  1 S 1.49
O  0.8191  0.8085  0.9151  1 Si 1.63
O  0.9604  0.1445  0.5894  1 Si 1.69
O  0.1891  0.0313  0.5890  1 Si 1.67
O  0.8229  0.8037  0.5878  1 S 1.49
O  0.9687  0.8109  0.0890  1 Si 1.67
O  0.8555  0.0396  0.0894  1 Si 1.69
O  0.1963  0.1771  0.0878  1 S 1.49
O  0.6792  0.1408  0.7436  1 S 1.49
O  0.4756  0.3083  0.7466  1 Si 1.62
O  0.8582  0.5142  0.7485  1 Si 1.63
O  0.6917  0.5244  0.2466  1 Si 1.62
O  0.8592  0.3208  0.2436  1 S 1.49
O  0.4858  0.1418  0.2485  1 Si 1.63
O  0.6271  0.4778  0.9227  1 Si 1.69
O  0.8557  0.3646  0.9223  1 Si 1.67
O  0.4896  0.1370  0.9212  1 S 1.49
O  0.6354  0.1443  0.4223  1 Si 1.67
O  0.5222  0.3729  0.4227  1 Si 1.69
O  0.8630  0.5104  0.4212  1 S 1.49
O  0.3459  0.4741  0.0769  1 S 1.49
O  0.1423  0.6417  0.0800  1 Si 1.62
O  0.5249  0.8476  0.0818  1 Si 1.63
O  0.3583  0.8577  0.5800  1 Si 1.62
O  0.5259  0.6541  0.5769  1 S 1.49
O  0.1524  0.4751  0.5818  1 Si 1.63
O  0.2937  0.8112  0.2560  1 Si 1.69
O  0.5224  0.6979  0.2557  1 Si 1.67
O  0.1563  0.4703  0.2545  1 S 1.49
O  0.3021  0.4776  0.7557  1 Si 1.67
O  0.1888  0.7063  0.7560  1 Si 1.69
O  0.5297  0.8437  0.7545  1 S 1.49


3.
## Na5Y3HfSi3S3O24 (PBE)

Data for crystalline Na5Y3HfSi3S3O24 at its relaxed geometry.

Its crystal system is triclinic.

a b c (Å): 9.3200 9.3289 23.7003
angles (deg): 89.51 89.97 60.05
With the nearest neighbours (Å) after each atom.
Positions (direct):
Na  0.0000  0.0000  0.0000  2 O 2.34-2.49
Na  0.0056  0.3503  0.7459  3 O 2.39-2.66
Na  0.0229  0.0677  0.3249  4 O 2.43-2.65
Na  0.0416  0.6826  0.8375  5 O 2.46-2.74
Na  0.2931  0.0673  0.8220  2 O 2.34-2.57
Na  0.3138  0.3917  0.3355  4 O 2.46-2.66
Na  0.3292  0.6991  0.9124  4 O 2.54-2.78
Na  0.3339  0.3291  0.6629  4 O 2.35-2.56
Na  0.3490  0.3922  0.9901  5 O 2.46-2.73
Na  0.3579  0.6963  0.4157  4 O 2.55-2.74
Na  0.3726  0.0167  0.5018  3 O 2.42-2.55
Na  0.6302  0.3949  0.4890  1 O 2.36
Na  0.6637  0.0183  0.5786  3 O 2.53-2.70
Na  0.7033  0.0139  0.0868  3 O 2.40-2.66
Na  0.9935  0.3593  0.2492  4 O 2.48-2.76
Y  0.0020  0.3835  0.8956  6 O 2.17-2.32
Y  0.0050  0.3819  0.5955  4 O 2.14-2.33
Y  0.3215  0.7206  0.0669  4 O 2.05-2.27
Y  0.3374  0.7188  0.5619  6 O 2.14-2.31
Y  0.6634  0.0541  0.7308  6 O 2.13-2.39
Y  0.6679  0.0556  0.2292  5 O 2.08-2.30
Y  0.6789  0.0430  0.9269  5 O 2.14-2.38
Y  0.9907  0.3939  0.3973  6 O 2.11-2.33
Y  0.9971  0.3846  0.1044  6 O 2.15-2.36
Hf  0.3271  0.7230  0.7648  6 O 1.98-2.21
Hf  0.3395  0.7256  0.2676  4 O 1.98-2.10
Hf  0.6456  0.0528  0.4303  4 O 1.96-2.06
Si  0.0364  0.0104  0.1650  4 O 1.63-1.70
Si  0.3032  0.3796  0.4954  4 O 1.62-1.70
Si  0.3319  0.0145  0.6641  4 O 1.62-1.69
Si  0.3688  0.3518  0.8305  4 O 1.63-1.66
Si  0.3704  0.0466  0.3294  4 O 1.60-1.68
Si  0.6628  0.3442  0.3311  4 O 1.61-1.68
Si  0.7041  0.6838  0.4975  4 O 1.62-1.67
Si  0.9716  0.0446  0.8294  4 O 1.60-1.70
Si  0.9989  0.6801  0.9968  4 O 1.63-1.69
S  0.0439  0.7133  0.6661  4 O 1.46-1.52
S  0.2970  0.0854  0.9977  4 O 1.47-1.49
S  0.3331  0.4231  0.1660  4 O 1.48-1.49
S  0.6235  0.4262  0.6659  4 O 1.47-1.49
S  0.6236  0.7143  0.1657  4 O 1.46-1.51
S  0.6599  0.7512  0.8290  4 O 1.47-1.49
S  0.7040  0.3803  0.9978  4 O 1.47-1.51
S  0.9638  0.7585  0.3300  4 O 1.46-1.52
S  0.9928  0.0854  0.4954  4 O 1.48-1.49
O  0.0058  0.1989  0.8352  1 Si 1.63
O  0.0244  0.1590  0.4446  1 S 1.48
O  0.0238  0.5762  0.9382  1 Si 1.65
O  0.0251  0.1919  0.1644  1 Si 1.64
O  0.0387  0.5564  0.6645  1 S 1.49
O  0.1226  0.9132  0.1058  1 Si 1.65
O  0.1240  0.7309  0.6153  1 S 1.46
O  0.1327  0.7451  0.3245  1 S 1.52
O  0.1418  0.9204  0.5031  1 S 1.48
O  0.1495  0.6956  0.7174  1 S 1.52
O  0.1610  0.8742  0.8207  1 Si 1.70
O  0.1610  0.8977  0.2196  1 Si 1.70
O  0.1663  0.2017  0.6660  1 Si 1.66
O  0.1733  0.6931  0.9995  1 Si 1.69
O  0.1789  0.3789  0.8342  1 Si 1.66
O  0.1800  0.4121  0.1630  1 S 1.48
O  0.1843  0.2066  0.3357  1 Si 1.64
O  0.1954  0.1589  0.9455  1 S 1.49
O  0.1982  0.3987  0.4387  1 Si 1.62
O  0.2113  0.1893  0.0467  1 S 1.47
O  0.2257  0.3397  0.5522  1 Si 1.65
O  0.3168  0.9173  0.0029  1 S 1.49
O  0.3217  0.5251  0.2154  1 S 1.48
O  0.3250  0.9046  0.7202  1 Si 1.69
O  0.3404  0.5321  0.5022  1 Si 1.63
O  0.3427  0.9142  0.6071  1 Si 1.62
O  0.3457  0.5385  0.8192  1 Si 1.66
O  0.3478  0.8793  0.3230  1 Si 1.68
O  0.3528  0.4983  0.1127  1 S 1.49
O  0.4517  0.2276  0.7772  1 Si 1.63
O  0.4599  0.0760  0.9922  1 S 1.48
O  0.4614  0.0739  0.2767  1 Si 1.60
O  0.4708  0.2708  0.8896  1 Si 1.64
O  0.4792  0.2553  0.1689  1 S 1.48
O  0.4837  0.0214  0.3874  1 Si 1.68
O  0.4840  0.5229  0.3212  1 Si 1.68
O  0.4918  0.2061  0.4891  1 Si 1.70
O  0.4959  0.0386  0.6672  1 Si 1.65
O  0.5094  0.7353  0.8213  1 S 1.49
O  0.5114  0.7173  0.5012  1 Si 1.66
O  0.5276  0.4992  0.6133  1 S 1.48
O  0.5298  0.7276  0.1138  1 S 1.48
O  0.5307  0.5304  0.7150  1 S 1.49
O  0.5342  0.6969  0.2160  1 S 1.51
O  0.5349  0.5262  0.0029  1 S 1.49
O  0.6273  0.8562  0.8795  1 S 1.49
O  0.6357  0.2517  0.3881  1 Si 1.68
O  0.6355  0.2613  0.6710  1 S 1.49
O  0.6396  0.8621  0.1702  1 S 1.46
O  0.6855  0.8694  0.4875  1 Si 1.67
O  0.6866  0.2288  0.9934  1 S 1.51
O  0.6901  0.8277  0.7793  1 S 1.47
O  0.6991  0.2220  0.2785  1 Si 1.61
O  0.7819  0.3995  0.9462  1 S 1.48
O  0.7817  0.5583  0.4449  1 Si 1.62
O  0.7883  0.5622  0.1644  1 S 1.48
O  0.7895  0.4088  0.6636  1 S 1.47
O  0.8074  0.5863  0.8367  1 S 1.47
O  0.8085  0.3554  0.0477  1 S 1.47
O  0.8116  0.5963  0.5544  1 Si 1.63
O  0.8281  0.3602  0.3367  1 Si 1.63
O  0.8399  0.8711  0.9953  1 Si 1.65
O  0.8424  0.0710  0.4881  1 S 1.48
O  0.8567  0.0215  0.1670  1 Si 1.63
O  0.8572  0.0603  0.7765  1 Si 1.60
O  0.8656  0.8309  0.2790  1 S 1.46
O  0.8775  0.8574  0.6716  1 S 1.47
O  0.8834  0.8626  0.3803  1 S 1.49
O  0.9027  0.0008  0.8874  1 Si 1.65
O  0.9644  0.1916  0.5453  1 S 1.49
O  0.9887  0.5749  0.0502  1 Si 1.63
O  0.9948  0.5872  0.3362  1 S 1.48


The energy of formation from the pure elements results, record by record, are as follows: -2.813; -2.958; -2.855 eV per atom.
The energy with MP2020 corrections results, record by record, are as follows: -7.8589; -7.6962; -7.5575 eV/atom.